Entry 1:
RbMg6TiO8: optimized geometry, PBE.

Mass density (g/cm3): 3.7
Crystal system: tetragonal
Energy of formation (eV per atom): -2.501
VASP energy (eV/atom): -5.787

abc: 4.521 4.521 8.845
angles: 90.00 90.00 90.00
Space group P4/mmm (No. 123)
One atom of each set of equivalent atoms:
1 Rb 0.000 0.000 0.000
2 Mg 0.000 0.000 0.500
3 Mg 0.000 0.500 0.261
4 Mg 0.500 0.500 0.500
5 Ti 0.500 0.500 0.000
6 O 0.000 0.000 0.282
7 O 0.000 0.500 0.000
8 O 0.000 0.500 0.500
9 O 0.500 0.500 0.244

***

Entry 2:
Ni3Se4: optimized geometry, PBE.

Mass density (g/cm3): 6.6
Crystal system: cubic
Energy of formation (eV per atom): -0.577
VASP energy (eV/atom): -4.782

abc: 9.991 9.991 9.991
angles: 90.00 90.00 90.00
Space group Fd-3m (No. 227, origin choice 2)
One atom of each set of equivalent atoms:
1 Ni 0.000 0.000 0.000
2 Ni 0.125 0.125 0.625
3 Se 0.009 0.009 0.241

***

Entry 3:
MgTi2: optimized geometry, PBE.

Mass density (g/cm3): 3.6
Crystal system: orthorhombic
Energy of formation (eV per atom): 0.173
VASP energy (eV/atom): -5.624

abc: 2.946 15.321 4.925
angles: 90.00 90.00 90.00
Space group Cmcm (No. 63)
One atom of each set of equivalent atoms:
1 Mg 0.000 0.111 0.250
2 Ti 0.000 0.221 0.750
3 Ti 0.000 0.438 0.250